No. 1
Computed, not measured: a relaxed V2PC crystal at the meta-GGA r2SCAN level of DFT.

Computed properties:
The total energy is -12.541 eV per atom. The value obtained for the magnetic moment is 0.0 μB per cell. The calculation puts the formation energy at -0.759 eV per atom. The volume comes out at 11.05 A^3/atom. The calculation puts the calculated density at 5.4 g/cm3.

abc: 3.0703 3.0703 10.8277
angles: 90.00 90.00 120.00
Fractional coordinates of all 8 atoms:
V: 0.3333 0.6667 0.0987
V: 0.3333 0.6667 0.4013
V: 0.6667 0.3333 0.5987
V: 0.6667 0.3333 0.9013
P: 0.3333 0.6667 0.7500
P: 0.6667 0.3333 0.2500
C: 0.0000 0.0000 0.0000
C: 0.0000 0.0000 0.5000

***

No. 2
Computed, not measured: a relaxed PmNdZn2 crystal at the meta-GGA r2SCAN level of DFT.

Computed properties:
The total energy is -19.537 eV per atom. The value obtained for the magnetic moment is 0.0 μB per cell. The calculation puts the formation energy at -0.342 eV per atom. The volume comes out at 24.34 A^3/atom. The calculation puts the calculated density at 7.2 g/cm3.

abc: 5.1638 5.1638 5.1638
angles: 60.00 60.00 60.00
Fractional coordinates of all 4 atoms:
Pm: 0.0000 0.0000 0.0000
Nd: 0.5000 0.5000 0.5000
Zn: 0.2500 0.2500 0.2500
Zn: 0.7500 0.7500 0.7500

***

No. 3
Computed, not measured: a relaxed YTa3O9 crystal at the meta-GGA r2SCAN level of DFT.

Computed properties:
The total energy is -20.225 eV per atom. The value obtained for the magnetic moment is 0.0 μB per cell. The calculation puts the formation energy at -3.314 eV per atom. The volume comes out at 12.41 A^3/atom. The calculation puts the calculated density at 8.0 g/cm3.

abc: 5.2656 7.4553 8.2260
angles: 90.00 92.41 90.00
Fractional coordinates of all 26 atoms:
Y: 0.0336 0.2500 0.4352
Y: 0.9664 0.7500 0.5648
Ta: 0.0000 0.0000 0.0000
Ta: 0.0000 0.5000 0.0000
Ta: 0.4724 0.0076 0.6979
Ta: 0.4724 0.4924 0.6979
Ta: 0.5276 0.5076 0.3021
Ta: 0.5276 0.9924 0.3021
O: 0.1000 0.2500 0.9784
O: 0.1472 0.5645 0.7841
O: 0.1472 0.9355 0.7841
O: 0.2586 0.5430 0.4668
O: 0.2586 0.9570 0.4668
O: 0.3259 0.5561 0.1189
O: 0.3259 0.9439 0.1189
O: 0.3347 0.2500 0.6544
O: 0.4234 0.2500 0.3128
O: 0.5766 0.7500 0.6872
O: 0.6653 0.7500 0.3456
O: 0.6741 0.0561 0.8811
O: 0.6741 0.4439 0.8811
O: 0.7414 0.0430 0.5332
O: 0.7414 0.4570 0.5332
O: 0.8528 0.0645 0.2159
O: 0.8528 0.4355 0.2159
O: 0.9000 0.7500 0.0216

***

No. 4
Computed, not measured: a relaxed In2Se3 crystal at the meta-GGA r2SCAN level of DFT.

Computed properties:
The total energy is -18.305 eV per atom. The value obtained for the magnetic moment is 0.0 μB per cell. The calculation puts the formation energy at -0.687 eV per atom. The volume comes out at 29.85 A^3/atom. The calculation puts the calculated density at 5.2 g/cm3.

abc: 7.2736 7.2736 19.5425
angles: 90.00 90.00 120.00
Fractional coordinates of all 30 atoms:
In: 0.0082 0.6967 0.0000
In: 0.0133 0.3429 0.8618
In: 0.3033 0.3115 0.3333
In: 0.3115 0.0082 0.1667
In: 0.3295 0.9867 0.5285
In: 0.3429 0.3295 0.6952
In: 0.6571 0.6705 0.1952
In: 0.6705 0.0133 0.0285
In: 0.6885 0.9918 0.6667
In: 0.6967 0.6885 0.8333
In: 0.9867 0.6571 0.3618
In: 0.9918 0.3033 0.5000
Se: 0.0299 0.3623 0.6482
Se: 0.0343 0.3442 0.9969
Se: 0.0669 0.7219 0.8547
Se: 0.2781 0.3451 0.1880
Se: 0.3099 0.9657 0.6635
Se: 0.3323 0.9701 0.3149
Se: 0.3442 0.3099 0.8302
Se: 0.3451 0.0669 0.0214
Se: 0.3623 0.3323 0.4816
Se: 0.6377 0.6677 0.9816
Se: 0.6549 0.9331 0.5214
Se: 0.6558 0.6901 0.3302
Se: 0.6677 0.0299 0.8149
Se: 0.6901 0.0343 0.1635
Se: 0.7219 0.6549 0.6880
Se: 0.9331 0.2781 0.3547
Se: 0.9657 0.6558 0.4969
Se: 0.9701 0.6377 0.1482

***

No. 5
Computed, not measured: a relaxed NbBO4 crystal at the meta-GGA r2SCAN level of DFT.

Computed properties:
The total energy is -12.052 eV per atom. The value obtained for the magnetic moment is 0.0 μB per cell. The calculation puts the formation energy at -2.723 eV per atom. The volume comes out at 9.05 A^3/atom. The calculation puts the calculated density at 5.1 g/cm3.

abc: 5.2252 5.2252 5.2252
angles: 106.16 106.16 116.32
Fractional coordinates of all 12 atoms:
Nb: 0.3750 0.6250 0.7500
Nb: 0.6250 0.3750 0.2500
B: 0.1250 0.8750 0.2500
B: 0.8750 0.1250 0.7500
O: 0.1283 0.7009 0.4274
O: 0.2265 0.2991 0.9274
O: 0.2991 0.2265 0.4274
O: 0.2991 0.8717 0.0726
O: 0.7009 0.1283 0.9274
O: 0.7009 0.7735 0.5726
O: 0.7735 0.7009 0.0726
O: 0.8717 0.2991 0.5726

***

No. 6
Computed, not measured: a relaxed DyAgPb crystal at the meta-GGA r2SCAN level of DFT.

Computed properties:
The total energy is -37.055 eV per atom. The value obtained for the magnetic moment is 0.0 μB per cell. The calculation puts the formation energy at -0.514 eV per atom. The volume comes out at 24.65 A^3/atom. The calculation puts the calculated density at 10.7 g/cm3.

abc: 4.7701 4.7701 7.5043
angles: 90.00 90.00 120.00
Fractional coordinates of all 6 atoms:
Dy: 0.0000 0.0000 0.0000
Dy: 0.0000 0.0000 0.5000
Ag: 0.3333 0.6667 0.3188
Ag: 0.6667 0.3333 0.8188
Pb: 0.3333 0.6667 0.7194
Pb: 0.6667 0.3333 0.2194